# 1
Density functional theory data (GGA+U) for K2UW2O10 after structural relaxation.

Computed properties:
As for the energy of formation from the pure elements: -39.87 eV/f.u. The value obtained for the total moment is 0.0 μB/cell.

a = 14.339 Å, b = 7.702 Å, c = 8.785 Å
α = 90.00°, β = 90.00°, γ = 90.00°
Element x y z (fractional)
K1 0.198 0.250 0.155
K2 0.216 0.750 0.174
K3 0.284 0.250 0.674
K4 0.302 0.750 0.655
K5 0.698 0.250 0.345
K6 0.716 0.750 0.326
K7 0.784 0.250 0.826
K8 0.802 0.750 0.845
U1 0.004 0.750 0.525
U2 0.496 0.250 0.025
U3 0.504 0.750 0.975
U4 0.996 0.250 0.475
W1 0.069 0.501 0.854
W2 0.069 0.999 0.854
W3 0.431 0.001 0.354
W4 0.431 0.499 0.354
W5 0.569 0.501 0.646
W6 0.569 0.999 0.646
W7 0.931 0.001 0.146
W8 0.931 0.499 0.146
O1 0.016 0.028 0.647
O2 0.016 0.472 0.647
O3 0.035 0.750 0.810
O4 0.076 0.532 0.068
O5 0.076 0.968 0.068
O6 0.078 0.250 0.867
O7 0.122 0.250 0.443
O8 0.130 0.750 0.488
O9 0.190 0.528 0.809
O10 0.190 0.972 0.809
O11 0.310 0.028 0.309
O12 0.310 0.472 0.309
O13 0.370 0.250 0.988
O14 0.378 0.750 0.943
O15 0.422 0.750 0.367
O16 0.424 0.032 0.568
O17 0.424 0.468 0.568
O18 0.465 0.250 0.310
O19 0.484 0.528 0.147
O20 0.484 0.972 0.147
O21 0.516 0.028 0.853
O22 0.516 0.472 0.853
O23 0.535 0.750 0.690
O24 0.576 0.532 0.432
O25 0.576 0.968 0.432
O26 0.578 0.250 0.633
O27 0.622 0.250 0.057
O28 0.630 0.750 0.012
O29 0.690 0.528 0.691
O30 0.690 0.972 0.691
O31 0.810 0.028 0.191
O32 0.810 0.472 0.191
O33 0.870 0.250 0.512
O34 0.878 0.750 0.557
O35 0.922 0.750 0.133
O36 0.924 0.032 0.932
O37 0.924 0.468 0.932
O38 0.965 0.250 0.190
O39 0.984 0.528 0.353
O40 0.984 0.972 0.353

# 2
Density functional theory data (GGA+U) for Li3NiPCO7 after structural relaxation.

Computed properties:
As for the energy of formation from the pure elements: -29.58 eV/f.u. The offset from the most stable computed form is 0.241 eV/f.u. The value obtained for the total moment is 8.0 μB/cell.

a = 6.396 Å, b = 8.356 Å, c = 9.893 Å
α = 95.00°, β = 90.27°, γ = 90.26°
Element x y z (fractional)
Li1 0.000 0.000 0.000
Li2 0.001 0.001 0.521
Li3 0.237 0.180 0.268
Li4 0.238 0.173 0.778
Li5 0.485 0.000 0.000
Li6 0.513 0.553 0.262
Li7 0.519 0.558 0.768
Li8 0.741 0.371 0.507
Li9 0.742 0.377 0.003
Li10 0.743 0.932 0.788
Li11 0.964 0.557 0.768
Li12 0.969 0.554 0.263
Ni1 0.242 0.609 0.492
Ni2 0.242 0.609 0.992
Ni3 0.486 0.003 0.526
Ni4 0.742 0.942 0.283
P1 0.241 0.861 0.252
P2 0.244 0.865 0.750
P3 0.739 0.686 0.530
P4 0.742 0.693 0.030
C1 0.242 0.316 0.038
C2 0.245 0.315 0.537
C3 0.733 0.238 0.738
C4 0.740 0.235 0.240
O1 0.051 0.966 0.792
O2 0.054 0.967 0.303
O3 0.239 0.431 0.631
O4 0.240 0.693 0.305
O5 0.241 0.168 0.066
O6 0.241 0.354 0.914
O7 0.241 0.695 0.801
O8 0.242 0.348 0.412
O9 0.242 0.432 0.134
O10 0.249 0.840 0.095
O11 0.251 0.166 0.569
O12 0.256 0.842 0.588
O13 0.429 0.966 0.312
O14 0.434 0.969 0.800
O15 0.553 0.581 0.473
O16 0.554 0.585 0.978
O17 0.723 0.125 0.638
O18 0.735 0.857 0.476
O19 0.739 0.118 0.145
O20 0.740 0.199 0.365
O21 0.740 0.707 0.685
O22 0.741 0.204 0.861
O23 0.741 0.382 0.210
O24 0.741 0.387 0.707
O25 0.741 0.712 0.189
O26 0.743 0.858 0.977
O27 0.929 0.586 0.980
O28 0.929 0.589 0.472

# 3
Density functional theory data (GGA+U) for K2Mo2O15 after structural relaxation.

Computed properties:
As for the energy of formation from the pure elements: -18.85 eV/f.u. The offset from the most stable computed form is 0.000 eV/f.u. The value obtained for the total moment is 10.0 μB/cell.

a = 6.900 Å, b = 10.201 Å, c = 11.879 Å
α = 96.55°, β = 99.53°, γ = 107.18°
Element x y z (fractional)
K1 0.144 0.259 0.490
K2 0.219 0.731 0.956
K3 0.781 0.269 0.044
K4 0.856 0.741 0.510
Mo1 0.384 0.446 0.199
Mo2 0.398 0.786 0.318
Mo3 0.602 0.214 0.682
Mo4 0.616 0.554 0.801
O1 0.106 0.078 0.091
O2 0.132 0.047 0.748
O3 0.132 0.648 0.335
O4 0.146 0.794 0.373
O5 0.149 0.929 0.737
O6 0.192 0.041 0.015
O7 0.198 0.377 0.044
O8 0.241 0.529 0.079
O9 0.243 0.350 0.290
O10 0.254 0.676 0.597
O11 0.279 0.576 0.539
O12 0.393 0.857 0.191
O13 0.397 0.111 0.569
O14 0.403 0.608 0.818
O15 0.495 0.368 0.709
O16 0.505 0.632 0.291
O17 0.597 0.392 0.182
O18 0.603 0.889 0.431
O19 0.607 0.143 0.809
O20 0.721 0.424 0.461
O21 0.746 0.324 0.403
O22 0.757 0.650 0.710
O23 0.759 0.471 0.921
O24 0.802 0.623 0.956
O25 0.808 0.959 0.985
O26 0.851 0.071 0.263
O27 0.854 0.206 0.627
O28 0.868 0.352 0.665
O29 0.868 0.953 0.252
O30 0.894 0.922 0.909

Number 1: calculated total energy -7.54 eV/atom. Number 2: calculated total energy -6.39 eV/atom. Number 3: calculated total energy -5.69 eV/atom.